[1]
Here is a relaxed structure of NaTaNbSi2PO12 from Materials Project. Energies are from PBE.

Calculated values
* total DFT energy (no corrections): -8.1198 eV/atom
* MP2020-corrected energy: -8.578 eV per atom
* energy relative to the elements: -3.082 eV per atom

a = 8.8874 Å, b = 8.8892 Å, c = 22.8703 Å
α = 89.96°, β = 90.04°, γ = 119.96°
Fractional coordinates of all 108 atoms:
Na: 0.0000 0.0010 0.4999
Na: 0.9989 0.0001 0.0000
Na: 0.6667 0.3345 0.8332
Na: 0.6657 0.3334 0.3333
Na: 0.3334 0.6677 0.1666
Na: 0.3322 0.6666 0.6666
Ta: 0.9997 0.9984 0.8538
Ta: 0.0072 0.0042 0.6463
Ta: 0.6740 0.3379 0.9794
Ta: 0.3350 0.6666 0.0203
Ta: 0.3402 0.6708 0.3129
Ta: 0.3288 0.6590 0.8129
Nb: 0.0018 0.0001 0.3538
Nb: 0.9950 0.9916 0.1461
Nb: 0.6684 0.3337 0.6872
Nb: 0.6667 0.3316 0.1870
Nb: 0.6618 0.3250 0.4795
Nb: 0.3333 0.6649 0.5204
Si: 0.2900 0.9992 0.2500
Si: 0.7100 0.7090 0.2505
Si: 0.2898 0.2888 0.7505
Si: 0.0009 0.7112 0.7500
Si: 0.9566 0.3324 0.5834
Si: 0.3767 0.0424 0.5839
Si: 0.9576 0.6220 0.0834
Si: 0.6664 0.0434 0.0829
Si: 0.6229 0.6664 0.9166
Si: 0.0444 0.3761 0.9171
Si: 0.6236 0.9553 0.4168
Si: 0.3338 0.3774 0.4164
P: 0.0012 0.2892 0.2498
P: 0.7114 0.9989 0.7498
P: 0.6679 0.6226 0.5831
P: 0.3781 0.3329 0.0828
P: 0.3340 0.9552 0.9164
P: 0.0447 0.6658 0.4163
O: 0.1985 0.0325 0.3071
O: 0.8339 0.8024 0.3071
O: 0.9681 0.1735 0.3046
O: 0.1967 0.1655 0.8072
O: 0.9679 0.8025 0.8072
O: 0.8277 0.0314 0.8047
O: 0.7956 0.9683 0.6954
O: 0.1651 0.1986 0.6931
O: 0.0304 0.8341 0.6928
O: 0.8003 0.8342 0.1931
O: 0.0322 0.2060 0.1954
O: 0.1663 0.9691 0.1929
O: 0.8651 0.3658 0.6405
O: 0.5007 0.1358 0.6405
O: 0.6347 0.5068 0.6379
O: 0.8646 0.4996 0.1404
O: 0.6340 0.1346 0.1404
O: 0.4933 0.3659 0.1377
O: 0.4627 0.3022 0.0285
O: 0.8318 0.5318 0.0263
O: 0.6969 0.1676 0.0261
O: 0.4670 0.1675 0.5264
O: 0.6989 0.5393 0.5288
O: 0.8330 0.3024 0.5262
O: 0.5311 0.6989 0.9738
O: 0.1677 0.4698 0.9738
O: 0.3015 0.8392 0.9713
O: 0.5310 0.8328 0.4738
O: 0.3008 0.4682 0.4738
O: 0.1602 0.6988 0.4711
O: 0.1295 0.6354 0.3619
O: 0.4984 0.8651 0.3596
O: 0.3637 0.5009 0.3594
O: 0.1347 0.5014 0.8598
O: 0.3649 0.8711 0.8620
O: 0.4992 0.6364 0.8595
O: 0.0256 0.8289 0.4091
O: 0.8145 0.9768 0.4079
O: 0.1624 0.1859 0.4081
O: 0.0232 0.1852 0.9075
O: 0.1708 0.9746 0.9088
O: 0.8145 0.8379 0.9078
O: 0.9740 0.1598 0.5923
O: 0.1847 0.0228 0.5918
O: 0.8283 0.8048 0.5918
O: 0.9771 0.8142 0.0914
O: 0.8392 0.0260 0.0919
O: 0.1966 0.1730 0.0911
O: 0.6922 0.1616 0.7427
O: 0.4808 0.3101 0.7412
O: 0.8294 0.5195 0.7414
O: 0.6898 0.5188 0.2412
O: 0.8381 0.3083 0.2426
O: 0.4809 0.1709 0.2414
O: 0.6407 0.4937 0.9256
O: 0.8519 0.3561 0.9252
O: 0.4942 0.1373 0.9251
O: 0.6436 0.1476 0.4247
O: 0.5061 0.3594 0.4252
O: 0.8632 0.5058 0.4245
O: 0.3587 0.4964 0.0752
O: 0.1486 0.6436 0.0742
O: 0.4951 0.8518 0.0744
O: 0.3565 0.8522 0.5745
O: 0.5048 0.6417 0.5759
O: 0.1475 0.5042 0.5748
O: 0.3074 0.8266 0.2589
O: 0.5181 0.6895 0.2585
O: 0.1616 0.4715 0.2585
O: 0.3104 0.4815 0.7585
O: 0.1733 0.6928 0.7590
O: 0.5293 0.8386 0.7584

[2]
Here is a relaxed structure of NpBeO3 from Materials Project. Energies are from PBE.

Calculated values
* total DFT energy (no corrections): -8.8635 eV/atom
* MP2020-corrected energy: -9.276 eV per atom
* energy relative to the elements: -2.969 eV per atom

a = 3.5698 Å, b = 3.5698 Å, c = 3.5698 Å
α = 90.00°, β = 90.00°, γ = 90.00°
Fractional coordinates of all 5 atoms:
Np: 0.0000 0.0000 0.0000
Be: 0.5000 0.5000 0.5000
O: 0.5000 0.5000 0.0000
O: 0.5000 0.0000 0.5000
O: 0.0000 0.5000 0.5000

[3]
Here is a relaxed structure of Zn3P2O12 from Materials Project. Energies are from PBE.

Calculated values
* total DFT energy (no corrections): -5.2443 eV/atom
* polymorph energy (0 for the lowest one): 1.92 eV/f.u.
* MP2020-corrected energy: -5.729 eV per atom
* energy relative to the elements: -1.377 eV per atom

a = 4.8325 Å, b = 10.7416 Å, c = 17.7677 Å
α = 90.00°, β = 90.00°, γ = 90.00°
Fractional coordinates of all 68 atoms:
Zn: 0.3494 0.6482 0.9940
Zn: 0.1506 0.1482 0.5060
Zn: 0.6506 0.3518 0.4940
Zn: 0.8494 0.8518 0.0060
Zn: 0.6506 0.3518 0.0060
Zn: 0.8494 0.8518 0.4940
Zn: 0.3494 0.6482 0.5060
Zn: 0.1506 0.1482 0.9940
Zn: 0.5435 0.7327 0.2500
Zn: 0.9565 0.2327 0.2500
Zn: 0.4565 0.2673 0.7500
Zn: 0.0435 0.7673 0.7500
P: 0.8601 0.5935 0.0957
P: 0.6399 0.0935 0.4043
P: 0.1399 0.4065 0.5957
P: 0.3601 0.9065 0.9043
P: 0.1399 0.4065 0.9043
P: 0.3601 0.9065 0.5957
P: 0.8601 0.5935 0.4043
P: 0.6399 0.0935 0.0957
O: 0.7661 0.6449 0.1725
O: 0.7339 0.1449 0.3275
O: 0.2339 0.3551 0.6725
O: 0.2661 0.8551 0.8275
O: 0.2339 0.3551 0.8275
O: 0.2661 0.8551 0.6725
O: 0.7661 0.6449 0.3275
O: 0.7339 0.1449 0.1725
O: 0.1774 0.6020 0.0898
O: 0.3226 0.1020 0.4102
O: 0.8226 0.3980 0.5898
O: 0.6774 0.8980 0.9102
O: 0.8226 0.3980 0.9102
O: 0.6774 0.8980 0.5898
O: 0.1774 0.6020 0.4102
O: 0.3226 0.1020 0.0898
O: 0.7371 0.6760 0.0290
O: 0.7629 0.1760 0.4710
O: 0.2629 0.3240 0.5290
O: 0.2371 0.8240 0.9710
O: 0.2629 0.3240 0.9710
O: 0.2371 0.8240 0.5290
O: 0.7371 0.6760 0.4710
O: 0.7629 0.1760 0.0290
O: 0.7484 0.9601 0.0866
O: 0.7516 0.4601 0.4134
O: 0.2516 0.0399 0.5866
O: 0.2484 0.5399 0.9134
O: 0.2516 0.0399 0.9134
O: 0.2484 0.5399 0.5866
O: 0.7484 0.9601 0.4134
O: 0.7516 0.4601 0.0866
O: 0.8826 0.8700 0.2500
O: 0.6174 0.3700 0.2500
O: 0.1174 0.1300 0.7500
O: 0.3826 0.6300 0.7500
O: 0.1876 0.6041 0.2500
O: 0.3124 0.1041 0.2500
O: 0.8124 0.3959 0.7500
O: 0.6876 0.8959 0.7500
O: 0.2357 0.8307 0.1903
O: 0.2643 0.3307 0.3097
O: 0.7643 0.1693 0.6903
O: 0.7357 0.6693 0.8097
O: 0.7643 0.1693 0.8097
O: 0.7357 0.6693 0.6903
O: 0.2357 0.8307 0.3097
O: 0.2643 0.3307 0.1903

[4]
Here is a relaxed structure of HoH9C5N2O8 from Materials Project. Energies are from PBE.

Calculated values
* total DFT energy (no corrections): -6.5077 eV/atom
* polymorph energy (0 for the lowest one): 0.24 eV/f.u.
* MP2020-corrected energy: -6.728 eV per atom
* energy relative to the elements: -1.227 eV per atom

a = 6.6983 Å, b = 6.6983 Å, c = 6.6473 Å
α = 75.36°, β = 75.36°, γ = 65.81°
Fractional coordinates of all 25 atoms:
Ho: 0.0927 0.9073 0.0000
H: 0.8965 0.5489 0.4214
H: 0.4511 0.1035 0.5786
H: 0.6129 0.6413 0.5396
H: 0.3587 0.3871 0.4604
H: 0.6540 0.3673 0.8178
H: 0.6327 0.3460 0.1822
H: 0.6295 0.7463 0.1255
H: 0.2537 0.3705 0.8745
H: 0.0101 0.9899 0.5000
C: 0.8070 0.3681 0.7065
C: 0.6319 0.1930 0.2935
C: 0.6218 0.8504 0.9663
C: 0.1496 0.3782 0.0337
C: 0.1613 0.8387 0.5000
N: 0.7724 0.5326 0.5436
N: 0.4674 0.2276 0.4564
O: 0.9927 0.2233 0.7383
O: 0.7767 0.0073 0.2617
O: 0.2387 0.7526 0.3327
O: 0.2474 0.7613 0.6673
O: 0.4515 0.8942 0.8857
O: 0.1058 0.5485 0.1143
O: 0.0833 0.2216 0.1224
O: 0.7784 0.9167 0.8776

[5]
Here is a relaxed structure of Lu5SbPd2 from Materials Project. Energies are from PBE.

Calculated values
* total DFT energy (no corrections): -5.4318 eV/atom
* energy relative to the elements: -0.795 eV per atom

a = 8.6247 Å, b = 8.6247 Å, c = 8.6247 Å
α = 127.99°, β = 127.99°, γ = 76.65°
Fractional coordinates of all 16 atoms:
Lu: 0.5125 0.7010 0.5000
Lu: 0.0125 0.5125 0.8115
Lu: 0.7010 0.2010 0.1885
Lu: 0.9875 0.4875 0.1885
Lu: 0.2010 0.0125 0.5000
Lu: 0.4875 0.2990 0.5000
Lu: 0.7990 0.9875 0.5000
Lu: 0.2990 0.7990 0.8115
Lu: 0.0000 0.0000 0.0000
Lu: 0.5000 0.5000 0.0000
Sb: 0.7500 0.7500 0.0000
Sb: 0.2500 0.2500 0.0000
Pd: 0.3618 0.8618 0.2235
Pd: 0.8618 0.6382 0.5000
Pd: 0.6382 0.1382 0.7765
Pd: 0.1382 0.3618 0.5000

[6]
Here is a relaxed structure of Na6Ca3TiP4S2O24 from Materials Project. Energies are from PBE.

Calculated values
* total DFT energy (no corrections): -6.5945 eV/atom
* MP2020-corrected energy: -7.007 eV per atom
* energy relative to the elements: -2.744 eV per atom

a = 9.2531 Å, b = 9.2667 Å, c = 22.8323 Å
α = 90.53°, β = 89.84°, γ = 119.83°
Fractional coordinates of all 120 atoms:
Na: 0.3635 0.3635 0.2546
Na: 0.6459 0.6498 0.7461
Na: 0.9972 0.3480 0.7518
Na: 0.2978 0.3466 0.5807
Na: 0.0279 0.6902 0.5778
Na: 0.6700 0.9572 0.5789
Na: 0.2936 0.9625 0.0755
Na: 0.6557 0.6874 0.0785
Na: 0.0472 0.3448 0.0770
Na: 0.3195 0.2980 0.9102
Na: 0.9875 0.3108 0.4160
Na: 0.6801 0.6707 0.4159
Na: 0.0065 0.0002 0.4941
Na: 0.9911 0.9835 0.9903
Na: 0.6518 0.3015 0.8318
Na: 0.6604 0.3103 0.3341
Na: 0.3239 0.6717 0.1725
Na: 0.3369 0.6697 0.6706
Ca: 0.0027 0.9942 0.3501
Ca: 0.0000 0.9987 0.8505
Ca: 0.9947 0.0059 0.6550
Ca: 0.9993 0.9936 0.1483
Ca: 0.6569 0.3259 0.6859
Ca: 0.6757 0.3375 0.1843
Ca: 0.3330 0.6698 0.0103
Ca: 0.3334 0.6692 0.5104
Ca: 0.3357 0.6807 0.3242
Ti: 0.6740 0.3507 0.9738
Ti: 0.6747 0.3409 0.4807
Ti: 0.3450 0.6762 0.8256
P: 0.3066 0.3244 0.7558
P: 0.6819 0.9865 0.7524
P: 0.9578 0.3326 0.5826
P: 0.6682 0.6263 0.5826
P: 0.9536 0.6222 0.0776
P: 0.3775 0.3313 0.0793
P: 0.6311 0.6600 0.9200
P: 0.0298 0.3757 0.9184
P: 0.3492 0.9766 0.9211
P: 0.6443 0.9857 0.4232
P: 0.3447 0.3587 0.4194
P: 0.0159 0.6584 0.4233
S: 0.3061 0.9989 0.2463
S: 0.6858 0.6919 0.2496
S: 0.0071 0.3075 0.2505
S: 0.0138 0.6962 0.7502
S: 0.3721 0.0426 0.5804
S: 0.6699 0.0462 0.0789
O: 0.2083 0.0079 0.2957
O: 0.7792 0.7827 0.3024
O: 0.0019 0.2126 0.3032
O: 0.2214 0.2164 0.8087
O: 0.9890 0.7852 0.7985
O: 0.8092 0.0113 0.7989
O: 0.7311 0.9377 0.6929
O: 0.2022 0.2528 0.6986
O: 0.0328 0.7841 0.6937
O: 0.7729 0.7808 0.1954
O: 0.0131 0.2197 0.1959
O: 0.2205 0.9895 0.1898
O: 0.8796 0.3436 0.6402
O: 0.4630 0.1157 0.6349
O: 0.6523 0.5350 0.6397
O: 0.8745 0.5199 0.1317
O: 0.6519 0.1194 0.1339
O: 0.4696 0.3441 0.1363
O: 0.4855 0.3249 0.0252
O: 0.8380 0.5138 0.0234
O: 0.6807 0.1495 0.0280
O: 0.4673 0.1458 0.5294
O: 0.6718 0.5154 0.5293
O: 0.8428 0.3272 0.5299
O: 0.5622 0.6772 0.9781
O: 0.1219 0.4440 0.9763
O: 0.3277 0.8921 0.9798
O: 0.5738 0.8821 0.4788
O: 0.3179 0.4419 0.4738
O: 0.1091 0.6840 0.4810
O: 0.0961 0.6159 0.3722
O: 0.5334 0.9050 0.3698
O: 0.3869 0.4718 0.3648
O: 0.1340 0.4989 0.8669
O: 0.3611 0.8589 0.8714
O: 0.5022 0.6361 0.8687
O: 0.9715 0.7956 0.4143
O: 0.8238 0.0159 0.4149
O: 0.1884 0.1881 0.4123
O: 0.0117 0.2041 0.9089
O: 0.2056 0.0090 0.9096
O: 0.8057 0.7983 0.9088
O: 0.9695 0.1706 0.5785
O: 0.2055 0.0325 0.5813
O: 0.8336 0.7958 0.5793
O: 0.9530 0.7892 0.0758
O: 0.8254 0.0330 0.0799
O: 0.2035 0.1695 0.0759
O: 0.6651 0.1425 0.7498
O: 0.4884 0.3628 0.7515
O: 0.8658 0.5243 0.7482
O: 0.6653 0.5212 0.2513
O: 0.8597 0.3291 0.2511
O: 0.4706 0.1563 0.2486
O: 0.6268 0.4846 0.9199
O: 0.8521 0.3623 0.9218
O: 0.5152 0.1511 0.9215
O: 0.6642 0.1649 0.4310
O: 0.5056 0.3431 0.4295
O: 0.8369 0.4919 0.4287
O: 0.3543 0.4861 0.0766
O: 0.1336 0.6542 0.0744
O: 0.5233 0.8735 0.0761
O: 0.3477 0.8708 0.5766
O: 0.5156 0.6521 0.5779
O: 0.1344 0.4877 0.5782
O: 0.3271 0.8515 0.2500
O: 0.5151 0.6712 0.2492
O: 0.1656 0.4716 0.2512
O: 0.3151 0.5013 0.7652
O: 0.1659 0.6791 0.7587
O: 0.5077 0.8255 0.7687